Sm3Ag, relaxed, DFT PBE-GGA; total moment = 0.0 μB per formula unit; calculated density = 8.07 g/cm3; total DFT energy (no corrections) = -16.92 eV for the cell shown
1.0
-2.361 2.361 5.159
2.361 -2.361 5.159
2.361 2.361 -5.159
Sm Ag
3 1
Direct
0.000 0.000 0.000
0.250 0.750 0.500
0.750 0.250 0.500
0.500 0.500 0.000